Record 1
Material: CS14
Method: DFT, PBE-GGA
State: relaxed

Results
E_form: -0.407 eV per atom

a b c (Å): 11.5954 11.5954 12.9418
angles (deg): 90.00 90.00 120.00
Space group R-3m (No. 166, hexagonal axes)
Asymmetric unit:
1 C 0.0000 0.0000 0.0000 (multiplicity 3)
2 S 0.0000 0.0000 0.1202 (multiplicity 6)
3 S 0.0000 0.2898 0.5000 (multiplicity 18)
4 S 0.0864 0.5432 0.2534 (multiplicity 18)

***

Record 2
Material: CS3
Method: DFT, PBE-GGA
State: relaxed

Results
Spin magnetization: 0.00 μB per atom
E_form: 0.332 eV per atom

a b c (Å): 5.9185 22.9063 13.4946
angles (deg): 90.00 90.08 90.00
Space group P2_1/c (No. 14)
Asymmetric unit:
1 C 0.0188 0.1045 0.4559 (multiplicity 4)
2 C 0.0504 0.1453 0.0439 (multiplicity 4)
3 C 0.4200 0.7371 0.7175 (multiplicity 4)
4 C 0.4378 0.0146 0.7805 (multiplicity 4)
5 S 0.1409 0.0700 0.3610 (multiplicity 4)
6 S 0.1451 0.1619 0.5088 (multiplicity 4)
7 S 0.1620 0.0854 0.9926 (multiplicity 4)
8 S 0.1954 0.1807 0.1315 (multiplicity 4)
9 S 0.2041 0.6675 0.4938 (multiplicity 4)
10 S 0.2312 0.5826 0.0006 (multiplicity 4)
11 S 0.2592 0.7037 0.8015 (multiplicity 4)
12 S 0.3099 0.0504 0.6885 (multiplicity 4)
13 S 0.3178 0.5386 0.6731 (multiplicity 4)
14 S 0.3202 0.5456 0.3279 (multiplicity 4)
15 S 0.3417 0.2061 0.8227 (multiplicity 4)
16 S 0.3448 0.6977 0.1730 (multiplicity 4)

***

Record 3
Material: C3S4
Method: DFT, PBE-GGA
State: relaxed

Results
Spin magnetization: 0.00 μB per atom
E_form: 0.014 eV per atom

a b c (Å): 8.7917 9.8966 14.1248
angles (deg): 90.00 103.39 90.00
Space group P2_1/c (No. 14)
Asymmetric unit:
1 C 0.0059 0.0703 0.0962 (multiplicity 4)
2 C 0.0642 0.1423 0.0292 (multiplicity 4)
3 C 0.1231 0.2247 0.5537 (multiplicity 4)
4 C 0.3912 0.6445 0.6562 (multiplicity 4)
5 C 0.4316 0.6422 0.4928 (multiplicity 4)
6 C 0.4441 0.5763 0.5804 (multiplicity 4)
7 S 0.0136 0.1472 0.2073 (multiplicity 4)
8 S 0.0779 0.0907 0.9118 (multiplicity 4)
9 S 0.1166 0.1777 0.6714 (multiplicity 4)
10 S 0.1928 0.1194 0.4822 (multiplicity 4)
11 S 0.3187 0.6949 0.1238 (multiplicity 4)
12 S 0.3529 0.6960 0.9833 (multiplicity 4)
13 S 0.3934 0.5837 0.7667 (multiplicity 4)
14 S 0.4834 0.5882 0.3866 (multiplicity 4)

***

Record 4
Material: CS2
Method: DFT, PBE-GGA
State: relaxed

Results
Spin magnetization: 0.00 μB per atom
E_form: -0.065 eV per atom

a b c (Å): 7.2916 5.9886 9.8513
angles (deg): 90.00 90.00 90.00
Space group Cmce (No. 64)
Asymmetric unit:
1 C 0.0000 0.0000 0.0000 (multiplicity 4)
2 S 0.0000 0.1815 0.1131 (multiplicity 8)

***

Record 5
Material: C3S8
Method: DFT, PBE-GGA
State: relaxed

Results
Spin magnetization: 0.00 μB per atom
E_form: -0.137 eV per atom

a b c (Å): 4.9979 9.3757 12.5623
angles (deg): 99.95 98.36 90.59
Space group P-1 (No. 2)
Asymmetric unit:
1 C 0.1305 0.4734 0.3119 (multiplicity 2)
2 C 0.1584 0.2916 0.6830 (multiplicity 2)
3 C 0.1940 0.3568 0.7911 (multiplicity 2)
4 S 0.0225 0.5162 0.8205 (multiplicity 2)
5 S 0.0539 0.6213 0.4061 (multiplicity 2)
6 S 0.1211 0.9658 0.6729 (multiplicity 2)
7 S 0.2036 0.1203 0.9281 (multiplicity 2)
8 S 0.3139 0.1352 0.6249 (multiplicity 2)
9 S 0.3275 0.3427 0.3434 (multiplicity 2)
10 S 0.3358 0.9490 0.8239 (multiplicity 2)
11 S 0.4030 0.3016 0.9008 (multiplicity 2)

***

Record 6
Material: C2S
Method: DFT, PBE-GGA
State: relaxed

Results
Spin magnetization: 0.00 μB per atom
E_form: 0.137 eV per atom

a b c (Å): 5.0780 16.6991 11.3990
angles (deg): 90.00 90.77 90.00
Space group P2_1 (No. 4)
Asymmetric unit:
1 C 0.0352 0.1385 0.3170 (multiplicity 2)
2 C 0.0385 0.1098 0.1034 (multiplicity 2)
3 C 0.0801 0.5492 0.8325 (multiplicity 2)
4 C 0.0835 0.5658 0.7107 (multiplicity 2)
5 C 0.1308 0.5000 0.0235 (multiplicity 2)
6 C 0.1352 0.5687 0.5075 (multiplicity 2)
7 C 0.1749 0.4862 0.9051 (multiplicity 2)
8 C 0.1794 0.5255 0.6102 (multiplicity 2)
9 C 0.3085 0.4517 0.5895 (multiplicity 2)
10 C 0.3133 0.4139 0.8849 (multiplicity 2)
11 C 0.3597 0.4390 0.4715 (multiplicity 2)
12 C 0.3711 0.3731 0.9882 (multiplicity 2)
13 C 0.4145 0.3904 0.6623 (multiplicity 2)
14 C 0.4162 0.3753 0.7845 (multiplicity 2)
15 C 0.4498 0.8052 0.1869 (multiplicity 2)
16 C 0.4517 0.8323 0.4010 (multiplicity 2)
17 S 0.0331 0.0908 0.9525 (multiplicity 2)
18 S 0.0349 0.1583 0.4678 (multiplicity 2)
19 S 0.1520 0.1880 0.1927 (multiplicity 2)
20 S 0.2532 0.5190 0.3837 (multiplicity 2)
21 S 0.2575 0.4232 0.1123 (multiplicity 2)
22 S 0.3263 0.7565 0.3101 (multiplicity 2)
23 S 0.4488 0.7854 0.0363 (multiplicity 2)
24 S 0.4561 0.8518 0.5521 (multiplicity 2)

***

Record 7
Material: C15S4
Method: DFT, PBE-GGA
State: relaxed

Results
Spin magnetization: 0.00 μB per atom
E_form: 0.194 eV per atom

a b c (Å): 22.1924 22.3941 11.1887
angles (deg): 90.00 111.00 90.00
Space group C2/c (No. 15)
Asymmetric unit:
1 C 0.0090 0.1399 0.0469 (multiplicity 8)
2 C 0.0090 0.2672 0.0469 (multiplicity 8)
3 C 0.0142 0.0874 0.9748 (multiplicity 8)
4 C 0.0142 0.3197 0.9748 (multiplicity 8)
5 C 0.0307 0.0480 0.7460 (multiplicity 8)
6 C 0.0307 0.3591 0.7460 (multiplicity 8)
7 C 0.0392 0.0681 0.6295 (multiplicity 8)
8 C 0.0392 0.3390 0.6294 (multiplicity 8)
9 C 0.0494 0.1711 0.4879 (multiplicity 8)
10 C 0.0494 0.2360 0.4880 (multiplicity 8)
11 C 0.0696 0.1723 0.0830 (multiplicity 8)
12 C 0.0696 0.2348 0.0830 (multiplicity 8)
13 C 0.0780 0.0874 0.9664 (multiplicity 8)
14 C 0.0780 0.3197 0.9664 (multiplicity 8)
15 C 0.0862 0.0680 0.8542 (multiplicity 8)
16 C 0.0861 0.3390 0.8542 (multiplicity 8)
17 C 0.0998 0.1005 0.6656 (multiplicity 8)
18 C 0.0997 0.3065 0.6656 (multiplicity 8)
19 C 0.1048 0.1510 0.5962 (multiplicity 8)
20 C 0.1048 0.2560 0.5963 (multiplicity 8)
21 C 0.1122 0.1399 0.0332 (multiplicity 8)
22 C 0.1123 0.2672 0.0333 (multiplicity 8)
23 C 0.1288 0.1005 0.8044 (multiplicity 8)
24 C 0.1288 0.3065 0.8044 (multiplicity 8)
25 C 0.1390 0.2035 0.6631 (multiplicity 8)
26 C 0.1534 0.1711 0.9854 (multiplicity 8)
27 C 0.1534 0.2360 0.9854 (multiplicity 8)
28 C 0.1618 0.1510 0.8688 (multiplicity 8)
29 C 0.1618 0.2560 0.8688 (multiplicity 8)
30 C 0.1670 0.2035 0.7968 (multiplicity 8)
31 S 0.0967 0.4610 0.3270 (multiplicity 8)
32 S 0.1027 0.4963 0.5009 (multiplicity 8)
33 S 0.1122 0.3702 0.3463 (multiplicity 8)
34 S 0.1932 0.4668 0.0870 (multiplicity 8)
35 S 0.1952 0.0740 0.3701 (multiplicity 8)
36 S 0.2073 0.3514 0.3736 (multiplicity 8)
37 S 0.2396 0.1549 0.4333 (multiplicity 8)
38 S 0.2484 0.0270 0.2836 (multiplicity 8)

***

Record 8
Material: Ta2CS2
Method: DFT, PBE-GGA
State: relaxed

Results
Offset from the most stable computed form: 7 meV/atom
E_form: -1.129 eV per atom

a b c (Å): 3.2899 3.2899 8.9361
angles (deg): 90.00 90.00 120.00
Space group P-3m1 (No. 164)
Asymmetric unit:
1 Ta 0.3333 0.6667 0.1326 (multiplicity 2)
2 C 0.0000 0.0000 0.0000 (multiplicity 1)
3 S 0.3333 0.6667 0.6857 (multiplicity 2)

***

Record 9
Material: Ta2CS2
Method: DFT, PBE-GGA
State: relaxed

Results
Offset from the most stable computed form: 0 meV/atom
E_form: -1.136 eV per atom

a b c (Å): 3.2867 3.2867 28.8651
angles (deg): 90.00 90.00 120.00
Space group R-3m (No. 166, hexagonal axes)
Asymmetric unit:
1 Ta 0.0000 0.0000 0.1257 (multiplicity 6)
2 C 0.0000 0.0000 0.5000 (multiplicity 3)
3 S 0.0000 0.0000 0.2642 (multiplicity 6)